No. 1
{
  "formula": "LiCo6Ge6",
  "functional": "PBE",
  "state": "relaxed",
  "formation_energy_kcal_per_mol_atoms": -6.041,
  "cell": [[4.1853, -1.4702, 2.4224], [-2.6826, -3.3492, -2.6708], [4.1711, 1.6214, -6.2227]],
  "species": ["Li", "Co", "Co", "Co", "Co", "Co", "Co", "Ge", "Ge", "Ge", "Ge", "Ge", "Ge"],
  "frac_coords": [[0.0000, 0.0000, 0.0000], [0.5000, 0.5000, 0.7501], [0.5000, 0.0000, 0.7501], [0.0000, 0.5000, 0.2499], [0.5000, 0.5000, 0.2499], [0.5000, 0.0000, 0.2499], [0.0000, 0.5000, 0.7501], [0.6667, 0.3333, 0.0000], [0.3333, 0.6667, 0.5000], [0.6667, 0.3333, 0.5000], [0.0000, 0.0000, 0.6686], [0.0000, 0.0000, 0.3314], [0.3333, 0.6667, 0.0000]]
}

No. 2
{
  "formula": "LuCo2Ge2",
  "functional": "PBE",
  "state": "relaxed",
  "formation_energy_kcal_per_mol_atoms": -13.404,
  "cell": [[-2.4342, -4.2338, 3.0085], [-2.8297, 0.9753, 4.8932], [0.2758, 1.9677, -5.3809]],
  "species": ["Lu", "Co", "Co", "Ge", "Ge"],
  "frac_coords": [[0.0000, 0.0000, 0.0000], [0.7500, 0.2500, 0.5000], [0.2500, 0.7500, 0.5000], [0.3740, 0.3740, 0.0000], [0.6260, 0.6260, 0.0000]]
}

No. 3
{
  "formula": "Lu3Co4Ge13",
  "functional": "PBE",
  "state": "relaxed",
  "formation_energy_kcal_per_mol_atoms": -8.986,
  "cell": [[-6.8355, -2.5327, 4.8248], [-3.7615, -3.4073, -7.1176], [3.9427, -7.6416, 1.5745]],
  "species": ["Lu", "Lu", "Lu", "Lu", "Lu", "Lu", "Co", "Co", "Co", "Co", "Co", "Co", "Co", "Co", "Ge", "Ge", "Ge", "Ge", "Ge", "Ge", "Ge", "Ge", "Ge", "Ge", "Ge", "Ge", "Ge", "Ge", "Ge", "Ge", "Ge", "Ge", "Ge", "Ge", "Ge", "Ge", "Ge", "Ge", "Ge", "Ge"],
  "frac_coords": [[0.0000, 0.5000, 0.7500], [0.5000, 0.2500, 0.0000], [0.7500, 0.0000, 0.5000], [0.0000, 0.5000, 0.2500], [0.5000, 0.7500, 0.0000], [0.2500, 0.0000, 0.5000], [0.7500, 0.2500, 0.7500], [0.2500, 0.7500, 0.2500], [0.7500, 0.7500, 0.2500], [0.2500, 0.2500, 0.7500], [0.2500, 0.7500, 0.7500], [0.7500, 0.2500, 0.2500], [0.2500, 0.2500, 0.2500], [0.7500, 0.7500, 0.7500], [0.5000, 0.5000, 0.5000], [0.0000, 0.0000, 0.0000], [0.8057, 0.3469, 0.5000], [0.6531, 0.5000, 0.8057], [0.5000, 0.1943, 0.6531], [0.1943, 0.6531, 0.5000], [0.3469, 0.5000, 0.1943], [0.5000, 0.8057, 0.3469], [0.8057, 0.6531, 0.5000], [0.6531, 0.5000, 0.1943], [0.1943, 0.3469, 0.5000], [0.3469, 0.5000, 0.8057], [0.5000, 0.8057, 0.6531], [0.5000, 0.1943, 0.3469], [0.3057, 0.0000, 0.8469], [0.1531, 0.3057, 0.0000], [0.0000, 0.1531, 0.6943], [0.6943, 0.0000, 0.1531], [0.8469, 0.6943, 0.0000], [0.0000, 0.8469, 0.3057], [0.3057, 0.0000, 0.1531], [0.1531, 0.6943, 0.0000], [0.6943, 0.0000, 0.8469], [0.8469, 0.3057, 0.0000], [0.0000, 0.1531, 0.3057], [0.0000, 0.8469, 0.6943]]
}

No. 4
{
  "formula": "Lu2CoGe2",
  "functional": "PBE",
  "state": "relaxed",
  "formation_energy_kcal_per_mol_atoms": -17.240,
  "cell": [[0.5319, -4.9758, -2.3653], [3.8664, -3.9598, -0.0852], [-1.6885, -7.8212, 5.9543]],
  "species": ["Lu", "Lu", "Lu", "Lu", "Co", "Co", "Ge", "Ge", "Ge", "Ge"],
  "frac_coords": [[0.1861, 0.1861, 0.8892], [0.8139, 0.8139, 0.1108], [0.0066, 0.0066, 0.6671], [0.9934, 0.9934, 0.3329], [0.2748, 0.2748, 0.3569], [0.7252, 0.7252, 0.6431], [0.4855, 0.4855, 0.8749], [0.5145, 0.5145, 0.1251], [0.3490, 0.3490, 0.5664], [0.6510, 0.6510, 0.4336]]
}

Number 1: E -75.70 eV/f.u.. Number 2: E -30.89 eV/f.u.. Number 3: E -109.89 eV/f.u.. Number 4: E -29.13 eV/f.u..